Compound: Ca5Pb2N6
Source: Materials Project
Functional: PBE
Structure: relaxed Values from VASP.

The structure in Quantum ESPRESSO input format:
```
&SYSTEM
  ibrav = 0, nat = 26, ntyp = 3
/
ATOMIC_SPECIES
Ca 40.08 Ca.upf
Pb 207.20 Pb.upf
N 14.01 N.upf
CELL_PARAMETERS angstrom
5.6888 -3.0168 0.0000
5.6888 3.0168 0.0000
-0.1356 0.0000 14.6506
ATOMIC_POSITIONS angstrom
Ca 5.5871 2.4335 10.9879
Ca 4.2357 1.6985 13.8932
Ca 3.9191 0.4601 4.1508
Ca 6.9385 1.6985 8.0826
Ca 3.8513 -0.4601 11.4760
Ca 7.3906 0.4601 3.1745
Ca 4.3035 -1.6985 6.5680
Ca 7.3228 -0.4601 10.4998
Ca 7.0063 -1.6985 0.7573
Ca 5.6549 -2.4335 3.6626
Pb 3.4626 0.8662 8.5691
Pb 3.5304 -0.8662 1.2438
Pb 7.7115 0.8662 13.4068
Pb 7.7793 -0.8662 6.0815
N 1.8961 0.1482 9.9936
N 1.9639 -0.1482 2.6683
N 2.6947 0.0150 6.5680
N 2.6269 -0.0150 13.8933
N 5.3513 0.5540 9.5076
N 5.8228 0.5540 12.4683
N 5.4191 -0.5540 2.1823
N 5.8906 -0.5540 5.1430
N 8.6151 0.0150 0.7573
N 8.5473 -0.0150 8.0825
N 9.2780 0.1482 11.9823
N 9.3458 -0.1482 4.6570
```

Energy relative to the elements in meV/atom: -392
V in Å³/atom: 19.3
Crystal system: monoclinic
Total moment in μB/atom: 0.00